No. 1
The following is a GGA-PBE calculation of a relaxed CaCeC4 crystal, from the Materials Project database.

Geometry as CIF:
```
data_CaCeC4
_cell_length_a 4.1447
_cell_length_b 4.1447
_cell_length_c 5.4076
_cell_angle_alpha 90.00
_cell_angle_beta 90.00
_cell_angle_gamma 80.28
_symmetry_space_group_name_H-M 'P 1'
_symmetry_Int_Tables_number 1
loop_
_symmetry_equiv_pos_as_xyz
'x,y,z'
loop_
_atom_site_label
_atom_site_type_symbol
_atom_site_fract_x
_atom_site_fract_y
_atom_site_fract_z
C1 C 0.6010 0.6010 0.0000
C2 C 0.3990 0.3990 0.0000
C3 C 0.8974 0.8974 0.5000
C4 C 0.1026 0.1026 0.5000
Ce1 Ce 0.5000 0.5000 0.5000
Ca1 Ca 0.0000 0.0000 0.0000
```

Computed properties:
E_tot, eV/atom: -7.51
Space-group type: Cmmm (65)

***

No. 2
The following is a GGA-PBE calculation of a relaxed CaCeC2O6F crystal, from the Materials Project database.

Geometry as CIF:
```
data_CaCeC2O6F
_cell_length_a 7.2361
_cell_length_b 7.2439
_cell_length_c 18.8436
_cell_angle_alpha 79.08
_cell_angle_beta 79.16
_cell_angle_gamma 60.11
_symmetry_space_group_name_H-M 'P 1'
_symmetry_Int_Tables_number 1
loop_
_symmetry_equiv_pos_as_xyz
'x,y,z'
loop_
_atom_site_label
_atom_site_type_symbol
_atom_site_fract_x
_atom_site_fract_y
_atom_site_fract_z
O1 O 0.8268 0.9459 0.6774
O2 O 0.7365 0.0105 0.1201
O3 O 0.6746 0.3998 0.6208
O4 O 0.6961 0.0994 0.8791
O5 O 0.5405 0.3216 0.4521
O6 O 0.1110 0.2160 0.6730
O7 O 0.4490 0.5529 0.8227
O8 O 0.2635 0.9895 0.8799
O9 O 0.3254 0.6002 0.3792
O10 O 0.5655 0.9688 0.6222
O11 O 0.3779 0.6695 0.6707
O12 O 0.0010 0.7153 0.1730
O13 O 0.9846 0.2134 0.9503
O14 O 0.6860 0.8219 0.9520
O15 O 0.8480 0.9806 0.5544
O16 O 0.8516 0.7142 0.4503
O17 O 0.6221 0.3305 0.3293
O18 O 0.0154 0.7866 0.0497
O19 O 0.1321 0.5112 0.6201
O20 O 0.8679 0.4888 0.3799
O21 O 0.7182 0.8294 0.8291
O22 O 0.1732 0.0541 0.3226
O23 O 0.9990 0.2847 0.8270
O24 O 0.3839 0.5191 0.9457
O25 O 0.8440 0.4688 0.1223
O26 O 0.4345 0.0312 0.3778
O27 O 0.3140 0.1781 0.0480
O28 O 0.6161 0.4809 0.0543
O29 O 0.1560 0.5312 0.8777
O30 O 0.1520 0.0194 0.4456
O31 O 0.2818 0.1706 0.1709
O32 O 0.3039 0.9006 0.1209
O33 O 0.4595 0.6784 0.5479
O34 O 0.5510 0.4471 0.1773
O35 O 0.8890 0.7840 0.3270
O36 O 0.1484 0.2858 0.5497
Ce1 Ce 0.0742 0.5905 0.7497
Ce2 Ce 0.4151 0.9077 0.7501
Ce3 Ce 0.7585 0.2494 0.7501
Ce4 Ce 0.5849 0.0923 0.2499
Ce5 Ce 0.2415 0.7506 0.2499
Ce6 Ce 0.9258 0.4095 0.2503
F1 F 0.0748 0.9081 0.7739
F2 F 0.9252 0.0919 0.2261
F3 F 0.2437 0.4088 0.2739
F4 F 0.4150 0.2492 0.7499
F5 F 0.7563 0.5912 0.7261
F6 F 0.5850 0.7508 0.2501
C1 C 0.4981 0.4156 0.3864
C2 C 0.5019 0.5844 0.6136
C3 C 0.7486 0.9650 0.6183
C4 C 0.9195 0.8355 0.1145
C5 C 0.2514 0.0350 0.3817
C6 C 0.6684 0.4655 0.1182
C7 C 0.7003 0.9149 0.8862
C8 C 0.1303 0.3357 0.6145
C9 C 0.2997 0.0851 0.1138
C10 C 0.0805 0.1645 0.8855
C11 C 0.8697 0.6643 0.3855
C12 C 0.3316 0.5345 0.8818
Ca1 Ca 0.3440 0.8143 0.0002
Ca2 Ca 0.1580 0.6867 0.4999
Ca3 Ca 0.6560 0.1857 0.9998
Ca4 Ca 0.0000 0.5000 0.0000
Ca5 Ca 0.5000 0.0000 0.5000
Ca6 Ca 0.8420 0.3133 0.5001
```

Computed properties:
E_tot, eV/atom: -7.72
Space-group type: P-1 (2)

***

Number 1: ρ 4.14 Mg/m³. Number 2: ρ 3.81 Mg/m³.